Record 1
The following is a PBE calculation of crystalline Rb4Bi at its relaxed geometry, from the Materials Project.

Unit cell a=15.2238 b=15.2238 c=15.2238 alpha=90.00 beta=90.00 gamma=90.00
With the nearest neighbours (Å) after each atom.
Space group Fd-3m (No. 227, origin choice 2)
Unique sites:
1 Rb 0.0061 0.0061 0.2439  1 Bi 3.46
2 Bi 0.1250 0.1250 0.6250  4 Rb 3.46

Properties
Density, g cm⁻³: 2.07
Final energy, eV/atom: -1.53

---

Record 2
The following is a PBE calculation of crystalline SrMg3O4 at its relaxed geometry, from the Materials Project.

Unit cell a=3.3015 b=3.3015 c=8.9796 alpha=90.00 beta=90.00 gamma=90.00
With the nearest neighbours (Å) after each atom.
Space group P4/mmm (No. 123)
Unique sites:
1 Sr 0.0000 0.0000 0.0000  6 O 2.33-2.47
2 Mg 0.0000 0.0000 0.5000  2 O 2.02
3 Mg 0.5000 0.5000 0.2723  1 O 2.04
4 O 0.0000 0.0000 0.2750  1 Mg 2.02
5 O 0.5000 0.5000 0.0000  4 Sr 2.33, 2 Mg 2.45
6 O 0.5000 0.5000 0.5000  2 Mg 2.04

Properties
Energy above the most stable polymorph in this dataset, meV/atom: 0
Density, g cm⁻³: 3.81
MP2020-corrected energy, eV/atom: -6.10
Final energy, eV/atom: -5.75

---

Record 3
The following is a PBE calculation of crystalline NaCu4P2ClO9 at its relaxed geometry, from the Materials Project.

Unit cell a=8.4861 b=6.4688 c=16.7308 alpha=90.00 beta=109.38 gamma=90.00
With the nearest neighbours (Å) after each atom.
Space group P2_1/c (No. 14)
Unique sites:
1 Na 0.1566 0.0011 0.1732  4 O 2.27-2.47
2 Cu 0.1717 0.2487 0.4448  4 O 1.94-2.09
3 Cu 0.1941 0.0032 0.6529  4 O 1.93-2.08
4 Cu 0.3951 0.2399 0.8356  4 O 1.94-2.08
5 Cu 0.5000 0.0000 0.0000  2 O 1.86
6 Cu 0.5000 0.0000 0.5000  2 O 1.86
7 P 0.1184 0.7351 0.9838  4 O 1.53-1.60
8 P 0.4621 0.7466 0.3088  4 O 1.54-1.60
9 Cl 0.0872 0.2199 0.7901  2 Cu 2.45-2.47, 1 Na 2.75
10 O 0.0462 0.2201 0.5915  1 P 1.54
11 O 0.0680 0.7198 0.0679  1 P 1.60
12 O 0.2056 0.5581 0.4832  1 P 1.53
13 O 0.2394 0.5514 0.9883  1 P 1.56
14 O 0.3232 0.7183 0.2223  1 P 1.54
15 O 0.3690 0.2278 0.7127  1 P 1.60
16 O 0.4053 0.2501 0.4533  4 Cu 1.86-1.94
17 O 0.4345 0.5570 0.8542  1 P 1.54
18 O 0.4803 0.5560 0.3673  1 P 1.55

Properties
Density, g cm⁻³: 3.98
MP2020-corrected energy, eV/atom: -6.17
Final energy, eV/atom: -5.80

---

no.,energy of formation (eV per atom)
1,0.032
2,-2.810
3,-1.758